Entry 1:
{
  "formula": "La2EuS4",
  "functional": "PBE-GGA",
  "state": "relaxed",
  "cell": [[-4.101, -5.875, 2.487], [1.210, 4.886, 5.673], [-3.774, 3.510, -5.564]],
  "species": ["S", "S", "S", "S", "S", "S", "S", "S", "Eu", "Eu", "La", "La", "La", "La"],
  "frac_coords": [[0.379, 0.977, 0.251], [0.872, 0.621, 0.598], [0.726, 0.128, 0.749], [0.378, 0.476, 0.249], [0.227, 0.129, 0.751], [0.524, 0.773, 0.902], [0.871, 0.622, 0.098], [0.023, 0.274, 0.402], [0.000, 0.000, 0.000], [0.250, 0.750, 0.500], [0.753, 0.875, 0.378], [0.497, 0.375, 0.622], [0.125, 0.503, 0.878], [0.625, 0.247, 0.122]]
}



Entry 2:
{
  "formula": "LiEuO3",
  "functional": "PBE-GGA",
  "state": "relaxed",
  "cell": [[-1.814, 3.236, -0.634], [-0.549, -1.009, -3.584], [-3.252, -1.635, 0.959]],
  "species": ["Li", "O", "O", "O", "Eu"],
  "frac_coords": [[0.000, 0.000, 0.000], [0.000, 0.000, 0.500], [0.500, 0.000, 0.000], [0.000, 0.500, 0.000], [0.500, 0.500, 0.500]]
}



Entry 3:
{
  "formula": "LiEu3O4",
  "functional": "PBE-GGA",
  "state": "relaxed",
  "cell": [[3.455, 0.000, 0.000], [0.000, 11.513, 0.000], [0.000, 0.000, 11.740]],
  "species": ["Eu", "Eu", "Eu", "Eu", "Eu", "Eu", "Eu", "Eu", "Eu", "Eu", "Eu", "Eu", "O", "O", "O", "O", "O", "O", "O", "O", "O", "O", "O", "O", "O", "O", "O", "O", "Li", "Li", "Li", "Li"],
  "frac_coords": [[0.250, 0.359, 0.796], [0.750, 0.369, 0.073], [0.750, 0.102, 0.889], [0.250, 0.898, 0.111], [0.250, 0.631, 0.927], [0.750, 0.641, 0.204], [0.250, 0.398, 0.389], [0.250, 0.859, 0.704], [0.250, 0.131, 0.573], [0.750, 0.869, 0.427], [0.750, 0.141, 0.296], [0.750, 0.602, 0.611], [0.750, 0.553, 0.394], [0.250, 0.020, 0.383], [0.750, 0.232, 0.717], [0.750, 0.761, 0.041], [0.250, 0.947, 0.894], [0.250, 0.520, 0.117], [0.250, 0.447, 0.606], [0.250, 0.739, 0.541], [0.750, 0.980, 0.617], [0.250, 0.768, 0.283], [0.750, 0.480, 0.883], [0.250, 0.239, 0.959], [0.250, 0.268, 0.217], [0.750, 0.261, 0.459], [0.750, 0.053, 0.106], [0.750, 0.732, 0.783], [0.750, 0.348, 0.595], [0.250, 0.652, 0.405], [0.750, 0.848, 0.905], [0.250, 0.152, 0.095]]
}



Entry 4:
{
  "formula": "LiEuP4O12",
  "functional": "PBE-GGA",
  "state": "relaxed",
  "cell": [[3.594, 8.332, 0.000], [-3.594, 8.332, 0.000], [0.000, 5.858, 7.967]],
  "species": ["O", "O", "O", "O", "O", "O", "O", "O", "O", "O", "O", "O", "O", "O", "O", "O", "O", "O", "O", "O", "O", "O", "O", "O", "P", "P", "P", "P", "P", "P", "P", "P", "Li", "Li", "Eu", "Eu"],
  "frac_coords": [[0.478, 0.670, 0.581], [0.671, 0.101, 0.046], [0.160, 0.330, 0.158], [0.899, 0.329, 0.454], [0.840, 0.670, 0.842], [0.941, 0.925, 0.704], [0.059, 0.075, 0.296], [0.670, 0.840, 0.342], [0.925, 0.941, 0.204], [0.281, 0.038, 0.413], [0.256, 0.488, 0.224], [0.962, 0.719, 0.087], [0.038, 0.281, 0.913], [0.744, 0.512, 0.776], [0.512, 0.744, 0.276], [0.330, 0.522, 0.919], [0.075, 0.059, 0.796], [0.719, 0.962, 0.587], [0.329, 0.899, 0.954], [0.522, 0.330, 0.419], [0.330, 0.160, 0.658], [0.488, 0.256, 0.724], [0.101, 0.671, 0.546], [0.670, 0.478, 0.081], [0.195, 0.509, 0.098], [0.806, 0.917, 0.162], [0.083, 0.194, 0.338], [0.917, 0.806, 0.662], [0.805, 0.491, 0.902], [0.491, 0.805, 0.402], [0.509, 0.195, 0.598], [0.194, 0.083, 0.838], [0.798, 0.202, 0.250], [0.202, 0.798, 0.750], [0.300, 0.700, 0.250], [0.700, 0.300, 0.750]]
}



Entry 5:
{
  "formula": "LiEu2RuO6",
  "functional": "PBE-GGA",
  "state": "relaxed",
  "cell": [[5.756, 0.000, 0.000], [0.000, 5.384, 0.000], [0.000, 5.283, 7.624]],
  "species": ["O", "O", "O", "O", "O", "O", "O", "O", "O", "O", "O", "O", "Li", "Li", "Ru", "Ru", "Eu", "Eu", "Eu", "Eu"],
  "frac_coords": [[0.789, 0.770, 0.553], [0.968, 0.145, 0.755], [0.032, 0.855, 0.245], [0.711, 0.770, 0.053], [0.289, 0.230, 0.947], [0.815, 0.347, 0.951], [0.685, 0.347, 0.451], [0.532, 0.145, 0.255], [0.468, 0.855, 0.745], [0.315, 0.653, 0.549], [0.211, 0.230, 0.447], [0.185, 0.653, 0.049], [0.000, 0.500, 0.500], [0.500, 0.500, 0.000], [0.500, 0.000, 0.500], [0.000, 0.000, 0.000], [0.928, 0.269, 0.249], [0.072, 0.731, 0.751], [0.572, 0.269, 0.749], [0.428, 0.731, 0.251]]
}



Entry 6:
{
  "formula": "LiSmEu2O4",
  "functional": "PBE-GGA",
  "state": "relaxed",
  "cell": [[3.498, 0.000, 0.000], [0.000, 11.595, 0.000], [0.000, 0.000, 11.698]],
  "species": ["Eu", "Eu", "Eu", "Eu", "Eu", "Eu", "Eu", "Eu", "O", "O", "O", "O", "O", "O", "O", "O", "O", "O", "O", "O", "O", "O", "O", "O", "Li", "Li", "Li", "Li", "Sm", "Sm", "Sm", "Sm"],
  "frac_coords": [[0.750, 0.902, 0.386], [0.750, 0.635, 0.575], [0.250, 0.365, 0.425], [0.250, 0.098, 0.614], [0.250, 0.865, 0.075], [0.750, 0.135, 0.925], [0.750, 0.402, 0.114], [0.250, 0.598, 0.886], [0.250, 0.975, 0.873], [0.250, 0.757, 0.457], [0.750, 0.743, 0.957], [0.250, 0.060, 0.392], [0.250, 0.740, 0.720], [0.250, 0.560, 0.108], [0.250, 0.475, 0.627], [0.750, 0.760, 0.220], [0.750, 0.940, 0.608], [0.750, 0.260, 0.280], [0.750, 0.025, 0.127], [0.750, 0.440, 0.892], [0.750, 0.243, 0.543], [0.750, 0.525, 0.373], [0.250, 0.257, 0.043], [0.250, 0.240, 0.780], [0.250, 0.847, 0.590], [0.750, 0.153, 0.410], [0.750, 0.653, 0.090], [0.250, 0.347, 0.910], [0.250, 0.640, 0.296], [0.750, 0.860, 0.796], [0.250, 0.140, 0.204], [0.750, 0.360, 0.704]]
}



Entry 7:
{
  "formula": "Li3Eu3Te2O12",
  "functional": "PBE-GGA",
  "state": "relaxed",
  "cell": [[-0.804, 9.322, -5.822], [6.057, -7.312, -5.592], [-10.069, -4.129, 1.731]],
  "species": ["O", "O", "O", "O", "O", "O", "O", "O", "O", "O", "O", "O", "O", "O", "O", "O", "O", "O", "O", "O", "O", "O", "O", "O", "O", "O", "O", "O", "O", "O", "O", "O", "O", "O", "O", "O", "O", "O", "O", "O", "O", "O", "O", "O", "O", "O", "O", "O", "Te", "Te", "Te", "Te", "Te", "Te", "Te", "Te", "Eu", "Eu", "Eu", "Eu", "Eu", "Eu", "Eu", "Eu", "Eu", "Eu", "Eu", "Eu", "Li", "Li", "Li", "Li", "Li", "Li", "Li", "Li", "Li", "Li", "Li", "Li"],
  "frac_coords": [[0.195, 0.171, 0.579], [0.616, 0.092, 0.421], [0.171, 0.592, 0.476], [0.805, 0.976, 0.884], [0.671, 0.695, 0.079], [0.024, 0.908, 0.329], [0.408, 0.884, 0.079], [0.421, 0.616, 0.092], [0.829, 0.421, 0.805], [0.384, 0.476, 0.305], [0.408, 0.524, 0.829], [0.921, 0.592, 0.116], [0.329, 0.024, 0.908], [0.592, 0.476, 0.171], [0.524, 0.695, 0.616], [0.579, 0.195, 0.171], [0.024, 0.116, 0.195], [0.671, 0.976, 0.092], [0.079, 0.408, 0.884], [0.421, 0.805, 0.829], [0.616, 0.524, 0.695], [0.695, 0.616, 0.524], [0.079, 0.671, 0.695], [0.305, 0.384, 0.476], [0.195, 0.024, 0.116], [0.116, 0.921, 0.592], [0.884, 0.805, 0.976], [0.921, 0.329, 0.305], [0.829, 0.408, 0.524], [0.329, 0.305, 0.921], [0.524, 0.829, 0.408], [0.384, 0.908, 0.579], [0.976, 0.884, 0.805], [0.976, 0.092, 0.671], [0.476, 0.171, 0.592], [0.116, 0.195, 0.024], [0.476, 0.305, 0.384], [0.092, 0.671, 0.976], [0.695, 0.079, 0.671], [0.592, 0.116, 0.921], [0.908, 0.329, 0.024], [0.305, 0.921, 0.329], [0.171, 0.579, 0.195], [0.092, 0.421, 0.616], [0.884, 0.079, 0.408], [0.579, 0.384, 0.908], [0.805, 0.829, 0.421], [0.908, 0.579, 0.384], [0.500, 0.000, 0.000], [0.500, 0.000, 0.500], [0.000, 0.500, 0.500], [0.500, 0.500, 0.500], [0.000, 0.000, 0.000], [0.000, 0.000, 0.500], [0.500, 0.500, 0.000], [0.000, 0.500, 0.000], [0.625, 0.750, 0.875], [0.375, 0.250, 0.125], [0.375, 0.125, 0.750], [0.875, 0.250, 0.625], [0.625, 0.875, 0.250], [0.125, 0.750, 0.375], [0.125, 0.375, 0.250], [0.250, 0.625, 0.875], [0.750, 0.875, 0.625], [0.250, 0.125, 0.375], [0.750, 0.375, 0.125], [0.875, 0.625, 0.750], [0.750, 0.125, 0.875], [0.375, 0.625, 0.250], [0.125, 0.875, 0.750], [0.875, 0.125, 0.250], [0.625, 0.375, 0.750], [0.875, 0.750, 0.125], [0.750, 0.625, 0.375], [0.625, 0.250, 0.375], [0.375, 0.750, 0.625], [0.250, 0.375, 0.625], [0.250, 0.875, 0.125], [0.125, 0.250, 0.875]]
}



Entry 8:
{
  "formula": "LiEuYO2",
  "functional": "PBE-GGA",
  "state": "relaxed",
  "cell": [[1.717, 0.941, 8.956], [-1.717, 0.941, 8.956], [0.000, -2.033, 8.981]],
  "species": ["Y", "Eu", "O", "O", "Li"],
  "frac_coords": [[0.481, 0.481, 0.479], [0.029, 0.029, 0.046], [0.766, 0.766, 0.772], [0.195, 0.195, 0.185], [0.914, 0.914, 0.893]],
  "polymorph_energy_ev_per_atom": 0.021
}



Entry 9:
{
  "formula": "LiEuYO2",
  "functional": "PBE-GGA",
  "state": "relaxed",
  "cell": [[-1.242, -5.619, 3.413], [2.245, -6.234, -0.929], [2.592, -4.580, 2.730]],
  "species": ["Eu", "Li", "O", "O", "Y"],
  "frac_coords": [[0.000, 0.000, 0.000], [0.000, 0.000, 0.500], [0.256, 0.256, 0.225], [0.744, 0.744, 0.775], [0.500, 0.500, 0.500]],
  "polymorph_energy_ev_per_atom": 0.575
}



Entry 10:
{
  "formula": "LiEuYO2",
  "functional": "PBE-GGA",
  "state": "relaxed",
  "cell": [[5.271, -6.939, 2.909], [6.128, -6.196, -0.391], [7.619, -4.579, 2.318]],
  "species": ["Y", "O", "O", "Li", "Eu"],
  "frac_coords": [[0.565, 0.390, 0.565], [0.878, 0.632, 0.878], [0.245, 0.173, 0.245], [0.280, 0.668, 0.280], [0.918, 0.033, 0.918]],
  "polymorph_energy_ev_per_atom": 0.000
}



Entry 11:
{
  "formula": "LiEuP",
  "functional": "PBE-GGA",
  "state": "relaxed",
  "cell": [[-2.187, -3.668, 0.361], [1.401, -1.522, -6.978], [6.810, -3.843, 2.205]],
  "species": ["Eu", "Eu", "Eu", "Eu", "Li", "Li", "Li", "Li", "P", "P", "P", "P"],
  "frac_coords": [[0.750, 0.976, 0.690], [0.250, 0.024, 0.310], [0.750, 0.476, 0.810], [0.250, 0.524, 0.190], [0.750, 0.361, 0.441], [0.750, 0.861, 0.059], [0.250, 0.139, 0.941], [0.250, 0.639, 0.559], [0.250, 0.272, 0.608], [0.750, 0.728, 0.392], [0.250, 0.772, 0.892], [0.750, 0.228, 0.108]]
}



Entry 12:
{
  "formula": "LiEuPS4",
  "functional": "PBE-GGA",
  "state": "relaxed",
  "cell": [[10.337, 0.000, -5.175], [-2.591, 10.007, -5.175], [0.006, 0.007, 12.923]],
  "species": ["P", "P", "P", "P", "P", "P", "P", "P", "Eu", "Eu", "Eu", "Eu", "Eu", "Eu", "Eu", "Eu", "S", "S", "S", "S", "S", "S", "S", "S", "S", "S", "S", "S", "S", "S", "S", "S", "S", "S", "S", "S", "S", "S", "S", "S", "S", "S", "S", "S", "S", "S", "S", "S", "Li", "Li", "Li", "Li", "Li", "Li", "Li", "Li"],
  "frac_coords": [[0.250, 0.215, 0.000], [0.750, 0.285, 0.000], [0.250, 0.715, 0.000], [0.750, 0.785, 0.000], [0.285, 0.250, 0.500], [0.785, 0.250, 0.500], [0.715, 0.750, 0.500], [0.215, 0.750, 0.500], [0.875, 0.625, 0.750], [0.625, 0.375, 0.250], [0.875, 0.125, 0.750], [0.125, 0.375, 0.250], [0.375, 0.625, 0.750], [0.375, 0.125, 0.750], [0.625, 0.875, 0.250], [0.125, 0.875, 0.250], [0.886, 0.401, 0.505], [0.396, 0.114, 0.995], [0.104, 0.118, 0.005], [0.901, 0.386, 0.005], [0.882, 0.099, 0.495], [0.662, 0.599, 0.830], [0.162, 0.231, 0.830], [0.114, 0.599, 0.495], [0.599, 0.168, 0.330], [0.618, 0.604, 0.505], [0.614, 0.896, 0.495], [0.099, 0.162, 0.330], [0.269, 0.338, 0.670], [0.838, 0.769, 0.170], [0.401, 0.618, 0.005], [0.769, 0.332, 0.670], [0.896, 0.882, 0.995], [0.118, 0.901, 0.505], [0.401, 0.832, 0.670], [0.901, 0.838, 0.670], [0.604, 0.886, 0.005], [0.338, 0.401, 0.170], [0.668, 0.099, 0.830], [0.832, 0.269, 0.170], [0.731, 0.662, 0.330], [0.599, 0.382, 0.995], [0.386, 0.104, 0.505], [0.168, 0.731, 0.830], [0.099, 0.614, 0.995], [0.332, 0.901, 0.170], [0.382, 0.396, 0.495], [0.231, 0.668, 0.330], [0.033, 0.250, 0.500], [0.250, 0.967, 0.000], [0.533, 0.250, 0.500], [0.467, 0.750, 0.500], [0.750, 0.033, 0.000], [0.967, 0.750, 0.500], [0.750, 0.533, 0.000], [0.250, 0.467, 0.000]]
}



Entry 13:
{
  "formula": "LiEuSb",
  "functional": "PBE-GGA",
  "state": "relaxed",
  "cell": [[-1.700, -0.969, -4.385], [0.986, -7.721, 1.323], [-7.772, -0.459, 3.116]],
  "species": ["Li", "Li", "Li", "Li", "Eu", "Eu", "Eu", "Eu", "Sb", "Sb", "Sb", "Sb"],
  "frac_coords": [[0.250, 0.663, 0.577], [0.250, 0.163, 0.923], [0.750, 0.837, 0.077], [0.750, 0.337, 0.423], [0.250, 0.504, 0.210], [0.750, 0.996, 0.710], [0.250, 0.004, 0.290], [0.750, 0.496, 0.790], [0.750, 0.725, 0.407], [0.250, 0.775, 0.907], [0.750, 0.225, 0.093], [0.250, 0.275, 0.593]]
}



Entry 14:
{
  "formula": "LiEu2Si3",
  "functional": "PBE-GGA",
  "state": "relaxed",
  "cell": [[4.301, 0.000, -1.278], [-0.561, 7.576, -1.896], [0.029, -0.029, 7.982]],
  "species": ["Si", "Si", "Si", "Si", "Si", "Si", "Eu", "Eu", "Eu", "Eu", "Li", "Li"],
  "frac_coords": [[0.955, 0.853, 0.911], [0.954, 0.351, 0.908], [0.045, 0.147, 0.089], [0.796, 0.285, 0.592], [0.204, 0.715, 0.408], [0.046, 0.649, 0.092], [0.613, 0.431, 0.227], [0.387, 0.569, 0.773], [0.622, 0.935, 0.244], [0.378, 0.065, 0.756], [0.213, 0.265, 0.427], [0.787, 0.735, 0.573]]
}



| no. | E_tot (eV per atom) | formation enthalpy at 0 K (eV per atom) |
| --- | --- | --- |
| 1 | -7.432 | -2.480 |
| 2 | -6.985 | -1.996 |
| 3 | -9.261 | -3.046 |
| 4 | -7.529 | -2.810 |
| 5 | -8.203 | -2.477 |
| 6 | -8.664 | -3.141 |
| 7 | -7.147 | -2.451 |
| 8 | -7.859 | -2.428 |
| 9 | -7.304 | -1.873 |
| 10 | -7.879 | -2.448 |
| 11 | -6.872 | -1.012 |
| 12 | -5.987 | -1.399 |
| 13 | -6.385 | -1.017 |
| 14 | -6.973 | -0.488 |